! PrP2Ru2, relaxed, DFT meta-GGA r2SCAN; values from VASP
! ΔE_f   -1.099 eV per atom
! V   17.3 A^3/atom
! Final energy   -103.755 eV for the cell shown
! Space group   No. 139
&SYSTEM
  ibrav = 0, nat = 5, ntyp = 3
/
ATOMIC_SPECIES
Pr 140.91 Pr.upf
P 30.97 P.upf
Ru 101.07 Ru.upf
ATOMIC_POSITIONS crystal
Pr 0.0000 0.0000 0.0000
P 0.3576 0.3576 0.7152
P 0.6424 0.6424 0.2848
Ru 0.2500 0.7500 0.5000
Ru 0.7500 0.2500 0.5000
CELL_PARAMETERS angstrom
3.7633 0.0000 -1.4153
-0.5322 3.7255 -1.4153
0.1318 0.1520 6.0617

=====

! Pr5P12Ru19, relaxed, DFT meta-GGA r2SCAN; values from VASP
! ΔE_f   -0.876 eV per atom
! V   15.3 A^3/atom
! Final energy   -769.659 eV for the cell shown
! Space group   No. 189
&SYSTEM
  ibrav = 0, nat = 36, ntyp = 3
/
ATOMIC_SPECIES
Pr 140.91 Pr.upf
P 30.97 P.upf
Ru 101.07 Ru.upf
ATOMIC_POSITIONS crystal
Pr 0.8159 0.0000 0.5000
Pr 0.0000 0.8159 0.5000
Pr 0.1841 0.1841 0.5000
Pr 0.3333 0.6667 0.0000
Pr 0.6667 0.3333 0.0000
P 0.1887 0.0000 0.0000
P 0.0000 0.1887 0.0000
P 0.8113 0.8113 0.0000
P 0.5249 0.6963 0.5000
P 0.3037 0.8286 0.5000
P 0.1714 0.4751 0.5000
P 0.4751 0.1714 0.5000
P 0.6963 0.5249 0.5000
P 0.8286 0.3037 0.5000
P 0.6243 0.0000 0.0000
P 0.0000 0.6243 0.0000
P 0.3757 0.3757 0.0000
Ru 0.4452 0.0000 0.0000
Ru 0.0000 0.4453 0.0000
Ru 0.5547 0.5547 0.0000
Ru 0.2856 0.0000 0.5000
Ru 0.0000 0.2856 0.5000
Ru 0.7144 0.7144 0.5000
Ru 0.6211 0.8058 0.0000
Ru 0.1942 0.8153 0.0000
Ru 0.1847 0.3789 0.0000
Ru 0.3789 0.1847 0.0000
Ru 0.8058 0.6211 0.0000
Ru 0.8153 0.1942 0.0000
Ru 0.5080 0.8761 0.5000
Ru 0.1239 0.6319 0.5000
Ru 0.3681 0.4920 0.5000
Ru 0.4920 0.3681 0.5000
Ru 0.8761 0.5080 0.5000
Ru 0.6319 0.1239 0.5000
Ru 0.0000 0.0000 0.0000
CELL_PARAMETERS angstrom
6.2891 -10.8930 0.0000
6.2890 10.8929 0.0000
0.0000 0.0000 4.0165

=====

! PrPS, relaxed, DFT meta-GGA r2SCAN; values from VASP
! ΔE_f   -1.782 eV per atom
! V   22.6 A^3/atom
! Final energy   -414.281 eV for the cell shown
! Space group   No. 62
&SYSTEM
  ibrav = 0, nat = 24, ntyp = 3
/
ATOMIC_SPECIES
Pr 140.91 Pr.upf
P 30.97 P.upf
S 32.06 S.upf
ATOMIC_POSITIONS crystal
Pr 0.2500 0.4829 0.3626
Pr 0.2500 0.9829 0.1374
Pr 0.7500 0.5171 0.6374
Pr 0.7500 0.0171 0.8626
Pr 0.2500 0.0171 0.6483
Pr 0.2500 0.5171 0.8517
Pr 0.7500 0.9829 0.3517
Pr 0.7500 0.4829 0.1483
P 0.0473 0.3080 0.9972
P 0.4527 0.8080 0.5028
P 0.5473 0.6920 0.0028
P 0.9527 0.1920 0.4972
P 0.9527 0.6920 0.0028
P 0.5473 0.1920 0.4972
P 0.4527 0.3080 0.9972
P 0.0473 0.8080 0.5028
S 0.2500 0.4845 0.1893
S 0.2500 0.9845 0.3107
S 0.7500 0.5155 0.8107
S 0.7500 0.0155 0.6893
S 0.2500 0.0127 0.8177
S 0.2500 0.5127 0.6823
S 0.7500 0.9873 0.1823
S 0.7500 0.4873 0.3177
CELL_PARAMETERS angstrom
-2.8205 3.1093 -3.6458
1.5379 -3.4782 -4.1562
-14.1367 -9.5682 2.7763

=====

! Pr2UP3, relaxed, DFT meta-GGA r2SCAN; values from VASP
! ΔE_f   -1.605 eV per atom
! V   25.2 A^3/atom
! Final energy   -175.386 eV for the cell shown
! Space group   No. 71
&SYSTEM
  ibrav = 0, nat = 6, ntyp = 3
/
ATOMIC_SPECIES
Pr 140.91 Pr.upf
U 238.03 U.upf
P 30.97 P.upf
ATOMIC_POSITIONS crystal
Pr 0.6669 0.6669 0.0000
Pr 0.3331 0.3331 0.0000
U 0.0000 0.0000 0.0000
P 0.5000 0.0000 0.5000
P 0.1580 0.6580 0.5000
P 0.8420 0.3420 0.5000
CELL_PARAMETERS angstrom
3.4631 1.7831 6.0663
3.9436 6.0275 0.2993
-6.4946 -2.9056 -1.1616